## CaAgP (GGA-PBE)

Data for an optimized crystal structure of CaAgP.

a b c (Å): 7.0768 7.0768 4.2030
angles (deg): 90.00 90.00 120.00
Last column: nearest neighbours and their distance in Å.
Space group P-62m (No. 189)
One atom of each set of equivalent atoms:
Ca1 0.0000 0.4109 0.0000 [3 per cell]  5 P 2.91-3.00, 2 Ag 3.17
Ag1 0.0000 0.7471 0.5000 [3 per cell]  4 P 2.69-2.76
P1 0.0000 0.0000 0.0000 [1 per cell]  6 Ag 2.76, 3 Ca 2.91
P2 0.3333 0.6667 0.5000 [2 per cell]  3 Ag 2.69, 6 Ca 3.00

Summary:
As for the energy of formation: -761 meV per atom.